Compound: LaNb2O7
Source: Materials Project
Functional: PBE
Structure: relaxed

Output
energy with MP2020 corrections = -89.631 eV per formula unit
energy of formation = -2.99 eV/atom
spin magnetization = 1.00 μB/cell

```
data_LaNb2O7
_space_group_name_H-M_alt 'P 4/m m m'
_space_group_IT_number 123
_space_group_name_Hall '-P 4 2'
_cell_length_a 3.935
_cell_length_b 3.935
_cell_length_c 10.611
_cell_angle_alpha 90.00
_cell_angle_beta 90.00
_cell_angle_gamma 90.00
loop_
_atom_site_label
_atom_site_type_symbol
_atom_site_fract_x
_atom_site_fract_y
_atom_site_fract_z
_atom_site_occupancy
La1 La 0.000 0.000 0.000 1
Nb1 Nb 0.500 0.500 0.221 1
O1 O 0.000 0.500 0.170 1
O2 O 0.500 0.500 0.000 1
O3 O 0.500 0.500 0.386 1
```

***

Compound: Zn2AgSbO6
Source: Materials Project
Functional: PBE
Structure: relaxed

Output
energy with MP2020 corrections = -52.848 eV per formula unit
energy of formation = -1.37 eV/atom
spin magnetization = 0.01 μB/cell

```
data_Zn2AgSbO6
_space_group_name_H-M_alt 'P 1 21/m 1'
_space_group_IT_number 11
_cell_length_a 5.489
_cell_length_b 7.754
_cell_length_c 5.590
_cell_angle_alpha 90.00
_cell_angle_beta 97.53
_cell_angle_gamma 90.00
loop_
_space_group_symop_operation_xyz
'x,y,z'
'-x,-y,-z'
'-x,y+1/2,-z'
'x,-y+1/2,z'
loop_
_atom_site_label
_atom_site_type_symbol
_atom_site_fract_x
_atom_site_fract_y
_atom_site_fract_z
_atom_site_occupancy
Zn1 Zn 0.015 0.250 0.061 1
Zn2 Zn 0.456 0.750 0.484 1
Ag1 Ag 0.000 0.000 0.500 1
Sb1 Sb 0.500 0.000 0.000 1
O1 O 0.111 0.750 0.603 1
O2 O 0.201 0.574 0.120 1
O3 O 0.346 0.062 0.661 1
O4 O 0.398 0.250 0.125 1
```

***

Compound: BaZnBi2
Source: Materials Project
Functional: PBE
Structure: relaxed

Output
energy of formation = -0.49 eV/atom
spin magnetization = 0.00 μB/cell

```
data_BaZnBi2
_space_group_name_H-M_alt 'I 4/m m m'
_space_group_IT_number 139
_space_group_name_Hall '-I 4 2'
_cell_length_a 4.682
_cell_length_b 4.682
_cell_length_c 24.261
_cell_angle_alpha 90.00
_cell_angle_beta 90.00
_cell_angle_gamma 90.00
loop_
_atom_site_label
_atom_site_type_symbol
_atom_site_fract_x
_atom_site_fract_y
_atom_site_fract_z
_atom_site_occupancy
Ba1 Ba 0.000 0.000 0.119 1
Zn1 Zn 0.000 0.500 0.250 1
Bi1 Bi 0.000 0.000 0.320 1
Bi2 Bi 0.000 0.500 0.000 1
```

***

Compound: SmYMg2
Source: Materials Project
Functional: PBE
Structure: relaxed

Output
energy of formation = -0.11 eV/atom

```
data_SmYMg2
_space_group_name_H-M_alt 'F m -3 m'
_space_group_IT_number 225
_space_group_name_Hall '-F 4 2 3'
_cell_length_a 7.650
_cell_length_b 7.650
_cell_length_c 7.650
_cell_angle_alpha 90.00
_cell_angle_beta 90.00
_cell_angle_gamma 90.00
loop_
_atom_site_label
_atom_site_type_symbol
_atom_site_fract_x
_atom_site_fract_y
_atom_site_fract_z
_atom_site_occupancy
Sm1 Sm 0.000 0.000 0.000 1
Y1 Y 0.000 0.000 0.500 1
Mg1 Mg 0.250 0.250 0.250 1
```

***

Compound: Sr2MgCuI2O2
Source: Materials Project
Functional: PBE
Structure: relaxed

Output
energy with MP2020 corrections = -34.755 eV per formula unit
energy of formation = -1.59 eV/atom
spin magnetization = 0.00 μB/cell

```
data_Sr2MgCuI2O2
_space_group_name_H-M_alt 'I -4 m 2'
_space_group_IT_number 119
_space_group_name_Hall 'I -4 -2'
_cell_length_a 4.062
_cell_length_b 4.062
_cell_length_c 26.801
_cell_angle_alpha 90.00
_cell_angle_beta 90.00
_cell_angle_gamma 90.00
loop_
_atom_site_label
_atom_site_type_symbol
_atom_site_fract_x
_atom_site_fract_y
_atom_site_fract_z
_atom_site_occupancy
Sr1 Sr 0.000 0.000 0.060 1
Mg1 Mg 0.000 0.500 0.750 1
Cu1 Cu 0.000 0.000 0.500 1
I1 I 0.000 0.000 0.368 1
O1 O 0.000 0.500 0.000 1
```

***

Compound: K4MgNb4Si8O28
Source: Materials Project
Functional: PBE
Structure: relaxed

Output
energy with MP2020 corrections = -362.601 eV per formula unit
energy of formation = -2.98 eV/atom
spin magnetization = 3.85 μB/cell

```
data_K4MgNb4Si8O28
_space_group_name_H-M_alt 'C 1 m 1'
_space_group_IT_number 8
_cell_length_a 12.758
_cell_length_b 12.668
_cell_length_c 8.047
_cell_angle_alpha 90.00
_cell_angle_beta 90.03
_cell_angle_gamma 90.00
loop_
_space_group_symop_operation_xyz
'x,y,z'
'x,-y,z'
'x+1/2,y+1/2,z'
'x+1/2,-y+1/2,z'
loop_
_atom_site_label
_atom_site_type_symbol
_atom_site_fract_x
_atom_site_fract_y
_atom_site_fract_z
_atom_site_occupancy
K1 K 0.000 0.000 0.000 1
K2 K 0.188 0.500 0.002 1
K3 K 0.396 0.193 0.001 1
Mg1 Mg 0.210 0.000 0.004 1
Nb1 Nb 0.124 0.249 0.252 1
Nb2 Nb 0.124 0.249 0.755 1
Si1 Si 0.256 0.000 0.305 1
Si2 Si 0.257 0.000 0.701 1
Si3 Si 0.370 0.377 0.302 1
Si4 Si 0.370 0.377 0.699 1
Si5 Si 0.498 0.000 0.305 1
Si6 Si 0.499 0.000 0.699 1
O1 O 0.055 0.394 0.239 1
O2 O 0.056 0.394 0.764 1
O3 O 0.118 0.251 0.001 1
O4 O 0.127 0.242 0.500 1
O5 O 0.200 0.098 0.207 1
O6 O 0.201 0.098 0.800 1
O7 O 0.248 0.000 0.504 1
O8 O 0.270 0.312 0.230 1
O9 O 0.271 0.312 0.771 1
O10 O 0.359 0.500 0.772 1
O11 O 0.360 0.500 0.229 1
O12 O 0.368 0.384 0.501 1
O13 O 0.376 0.000 0.228 1
O14 O 0.377 0.000 0.777 1
O15 O 0.480 0.000 0.502 1
O16 O 0.480 0.329 0.235 1
O17 O 0.481 0.329 0.767 1
```